1.
Computed, not measured: a relaxed BaTbInWO6 crystal at the GGA+U level of DFT.

Geometry as POSCAR:
```
BaTbInWO6
1.0
8.486 0.000 0.000
0.000 8.496 0.000
0.000 0.000 8.509
Ba Tb In W O
4 4 4 4 24
Direct
0.250 0.250 0.250
0.250 0.250 0.750
0.750 0.750 0.250
0.750 0.750 0.750
0.000 0.000 0.000
0.000 0.500 0.500
0.500 0.000 0.500
0.500 0.500 0.000
0.250 0.750 0.250
0.250 0.750 0.750
0.750 0.250 0.250
0.750 0.250 0.750
0.000 0.000 0.500
0.000 0.500 0.000
0.500 0.000 0.000
0.500 0.500 0.500
0.000 0.231 0.489
0.000 0.269 0.011
0.000 0.731 0.989
0.000 0.769 0.511
0.003 0.510 0.230
0.003 0.990 0.270
0.231 0.015 0.503
0.231 0.485 0.997
0.269 0.015 0.997
0.269 0.485 0.503
0.497 0.510 0.270
0.497 0.990 0.230
0.500 0.231 0.011
0.500 0.269 0.489
0.500 0.731 0.511
0.500 0.769 0.989
0.503 0.010 0.770
0.503 0.490 0.730
0.731 0.515 0.497
0.731 0.985 0.003
0.769 0.515 0.003
0.769 0.985 0.497
0.997 0.010 0.730
0.997 0.490 0.770
```

Results
The final energy is -7.07 eV per atom. The calculated volume is 614 Å³/cell. As for the magnetization: 0.0 Bohr magnetons per cell.

2.
Computed, not measured: a relaxed KFeSe2O6 crystal at the GGA+U level of DFT.

Geometry as POSCAR:
```
KFeSe2O6
1.0
13.183 0.000 0.000
0.000 5.534 0.000
0.000 0.000 8.269
K Fe Se O
4 4 8 24
Direct
0.126 0.250 0.006
0.374 0.750 0.506
0.626 0.250 0.494
0.874 0.750 0.994
0.102 0.750 0.697
0.398 0.250 0.197
0.602 0.750 0.803
0.898 0.250 0.303
0.061 0.750 0.293
0.203 0.250 0.489
0.297 0.750 0.989
0.439 0.250 0.793
0.561 0.750 0.207
0.703 0.250 0.011
0.797 0.750 0.511
0.939 0.250 0.707
0.004 0.007 0.788
0.004 0.493 0.788
0.023 0.750 0.493
0.171 0.750 0.927
0.206 0.007 0.621
0.206 0.493 0.621
0.294 0.507 0.121
0.294 0.993 0.121
0.329 0.250 0.427
0.477 0.250 0.993
0.496 0.507 0.288
0.496 0.993 0.288
0.504 0.007 0.712
0.504 0.493 0.712
0.523 0.750 0.007
0.671 0.750 0.573
0.706 0.007 0.879
0.706 0.493 0.879
0.794 0.507 0.379
0.794 0.993 0.379
0.829 0.250 0.073
0.977 0.250 0.507
0.996 0.507 0.212
0.996 0.993 0.212
```

Results
The final energy is -5.56 eV per atom. The calculated volume is 603 Å³/cell. As for the magnetization: 20.0 Bohr magnetons per cell.

Q: Which of these has the lowest final energy?
A: BaTbInWO6